Entry 1:
A plane-wave DFT calculation with meta-GGA r2SCAN was carried out for a relaxed FeAuO2 crystal.

Results
Mass density   9.5 Mg/m³
Electronic total energy   -20.288 eV/atom
Formation enthalpy at 0 K   -1.0521 eV per atom
Space group   R-3m
Volume   148.7 Å³ per cell
Total moment   4.99 μB/f.u.

a b c (Å): 3.0462 3.0462 18.5026
angles (deg): 90.00 90.00 120.00
Sites, in units of the cell vectors:
1 Fe 0.0000 0.0000 0.0000
2 Fe 0.3333 0.6667 0.6667
3 Fe 0.6667 0.3333 0.3333
4 Au 0.0000 0.0000 0.5000
5 Au 0.3333 0.6667 0.1667
6 Au 0.6667 0.3333 0.8333
7 O 0.0000 0.0000 0.3890
8 O 0.0000 0.0000 0.6110
9 O 0.3333 0.6667 0.0556
10 O 0.3333 0.6667 0.2777
11 O 0.6667 0.3333 0.7223
12 O 0.6667 0.3333 0.9444

Entry 2:
A plane-wave DFT calculation with meta-GGA r2SCAN was carried out for a relaxed TmSnPt crystal.

Results
Mass density   12.7 Mg/m³
Electronic total energy   -38.313 eV/atom
Formation enthalpy at 0 K   -1.1944 eV per atom
Space group   P-62m
Volume   189.1 Å³ per cell
Total moment   0.00 μB/f.u.

a b c (Å): 7.4247 7.4247 3.9616
angles (deg): 90.00 90.00 120.00
Sites, in units of the cell vectors:
1 Tm 0.0000 0.4046 0.0000
2 Tm 0.4046 0.0000 0.0000
3 Tm 0.5954 0.5954 0.0000
4 Sn 0.0000 0.7394 0.5000
5 Sn 0.2606 0.2606 0.5000
6 Sn 0.7394 0.0000 0.5000
7 Pt 0.0000 0.0000 0.0000
8 Pt 0.3333 0.6667 0.5000
9 Pt 0.6667 0.3333 0.5000

Entry 3:
A plane-wave DFT calculation with meta-GGA r2SCAN was carried out for a relaxed SrP crystal.

Results
Mass density   3.5 Mg/m³
Electronic total energy   -13.284 eV/atom
Formation enthalpy at 0 K   -1.2104 eV per atom
Space group   P-62m
Volume   342.4 Å³ per cell
Total moment   0.00 μB/f.u.

a b c (Å): 8.0855 8.0855 6.0470
angles (deg): 90.00 90.00 120.00
Sites, in units of the cell vectors:
1 Sr 0.0000 0.3049 0.0000
2 Sr 0.0000 0.6399 0.5000
3 Sr 0.3049 0.0000 0.0000
4 Sr 0.3601 0.3601 0.5000
5 Sr 0.6399 0.0000 0.5000
6 Sr 0.6951 0.6951 0.0000
7 P 0.0000 0.0000 0.3144
8 P 0.0000 0.0000 0.6856
9 P 0.3333 0.6667 0.1907
10 P 0.3333 0.6667 0.8093
11 P 0.6667 0.3333 0.1907
12 P 0.6667 0.3333 0.8093

Entry 4:
A plane-wave DFT calculation with meta-GGA r2SCAN was carried out for a relaxed TmNiSn crystal.

Results
Mass density   9.8 Mg/m³
Electronic total energy   -24.651 eV/atom
Formation enthalpy at 0 K   -0.7018 eV per atom
Space group   Pnma
Volume   234.0 Å³ per cell
Total moment   0.00 μB/f.u.

a b c (Å): 6.9894 4.4065 7.5973
angles (deg): 90.00 90.00 90.00
Sites, in units of the cell vectors:
1 Tm 0.0130 0.2500 0.2020
2 Tm 0.4870 0.7500 0.7020
3 Tm 0.5130 0.2500 0.2980
4 Tm 0.9870 0.7500 0.7980
5 Ni 0.2030 0.7500 0.4143
6 Ni 0.2970 0.2500 0.9143
7 Ni 0.7030 0.7500 0.0857
8 Ni 0.7970 0.2500 0.5857
9 Sn 0.1899 0.2500 0.5864
10 Sn 0.3101 0.7500 0.0864
11 Sn 0.6899 0.2500 0.9136
12 Sn 0.8101 0.7500 0.4136

Entry 5:
A plane-wave DFT calculation with meta-GGA r2SCAN was carried out for a relaxed Cs3Tb7Te12 crystal.

Results
Mass density   5.8 Mg/m³
Electronic total energy   -28.911 eV/atom
Formation enthalpy at 0 K   -1.6876 eV per atom
Space group   Pmn2_1
Volume   1735.7 Å³ per cell
Total moment   0.00 μB/f.u.

a b c (Å): 4.4627 13.6505 28.4922
angles (deg): 90.00 90.00 90.00
Sites, in units of the cell vectors:
1 Cs 0.0000 0.0235 0.0000
2 Cs 0.0000 0.3016 0.6497
3 Cs 0.0000 0.4709 0.2572
4 Cs 0.5000 0.5291 0.7572
5 Cs 0.5000 0.6984 0.1497
6 Cs 0.5000 0.9765 0.5000
7 Tb 0.0000 0.1680 0.3373
8 Tb 0.0000 0.2542 0.1262
9 Tb 0.0000 0.3312 0.9142
10 Tb 0.0000 0.5345 0.5388
11 Tb 0.0000 0.6651 0.9416
12 Tb 0.0000 0.8383 0.3099
13 Tb 0.0000 0.9602 0.7109
14 Tb 0.5000 0.0398 0.2109
15 Tb 0.5000 0.1617 0.8099
16 Tb 0.5000 0.3349 0.4416
17 Tb 0.5000 0.4655 0.0388
18 Tb 0.5000 0.6688 0.4142
19 Tb 0.5000 0.7458 0.6262
20 Tb 0.5000 0.8320 0.8373
21 Te 0.0000 0.1822 0.4451
22 Te 0.0000 0.1921 0.2296
23 Te 0.0000 0.3117 0.0220
24 Te 0.0000 0.3162 0.8048
25 Te 0.0000 0.5038 0.4274
26 Te 0.0000 0.5887 0.6435
27 Te 0.0000 0.6219 0.0467
28 Te 0.0000 0.6811 0.8354
29 Te 0.0000 0.8197 0.4163
30 Te 0.0000 0.8850 0.2047
31 Te 0.0000 0.8993 0.6085
32 Te 0.0000 0.9957 0.8232
33 Te 0.5000 0.0043 0.3232
34 Te 0.5000 0.1007 0.1085
35 Te 0.5000 0.1150 0.7047
36 Te 0.5000 0.1803 0.9163
37 Te 0.5000 0.3189 0.3354
38 Te 0.5000 0.3781 0.5467
39 Te 0.5000 0.4113 0.1435
40 Te 0.5000 0.4962 0.9274
41 Te 0.5000 0.6838 0.3048
42 Te 0.5000 0.6883 0.5220
43 Te 0.5000 0.8079 0.7296
44 Te 0.5000 0.8178 0.9451

Entry 6:
A plane-wave DFT calculation with meta-GGA r2SCAN was carried out for a relaxed CsMo3Se3 crystal.

Results
Mass density   5.9 Mg/m³
Electronic total energy   -21.760 eV/atom
Formation enthalpy at 0 K   -0.8661 eV per atom
Space group   P6_3/m
Volume   370.7 Å³ per cell
Total moment   0.00 μB/f.u.

a b c (Å): 9.7539 9.7539 4.4997
angles (deg): 90.00 90.00 120.00
Sites, in units of the cell vectors:
1 Cs 0.3333 0.6667 0.2500
2 Cs 0.6667 0.3333 0.7500
3 Mo 0.0240 0.8572 0.2500
4 Mo 0.1428 0.1668 0.2500
5 Mo 0.1668 0.0240 0.7500
6 Mo 0.8332 0.9760 0.2500
7 Mo 0.8572 0.8332 0.7500
8 Mo 0.9760 0.1428 0.7500
9 Se 0.0491 0.7157 0.7500
10 Se 0.2843 0.3334 0.7500
11 Se 0.3334 0.0491 0.2500
12 Se 0.6666 0.9509 0.7500
13 Se 0.7157 0.6666 0.2500
14 Se 0.9509 0.2843 0.2500

Entry 7:
A plane-wave DFT calculation with meta-GGA r2SCAN was carried out for a relaxed TmBiPd crystal.

Results
Mass density   11.1 Mg/m³
Electronic total energy   -39.877 eV/atom
Formation enthalpy at 0 K   -1.0158 eV per atom
Space group   F-43m
Volume   291.0 Å³ per cell
Total moment   0.00 μB/f.u.

a b c (Å): 6.6266 6.6266 6.6266
angles (deg): 90.00 90.00 90.00
Sites, in units of the cell vectors:
1 Tm 0.0000 0.0000 0.0000
2 Tm 0.0000 0.5000 0.5000
3 Tm 0.5000 0.0000 0.5000
4 Tm 0.5000 0.5000 0.0000
5 Bi 0.0000 0.0000 0.5000
6 Bi 0.0000 0.5000 0.0000
7 Bi 0.5000 0.0000 0.0000
8 Bi 0.5000 0.5000 0.5000
9 Pd 0.2500 0.2500 0.2500
10 Pd 0.2500 0.7500 0.7500
11 Pd 0.7500 0.2500 0.7500
12 Pd 0.7500 0.7500 0.2500

Entry 8:
A plane-wave DFT calculation with meta-GGA r2SCAN was carried out for a relaxed KMn8O16 crystal.

Results
Mass density   4.4 Mg/m³
Electronic total energy   -10.865 eV/atom
Formation enthalpy at 0 K   -2.1033 eV per atom
Space group   P-1
Volume   274.9 Å³ per cell
Total moment   24.99 μB/f.u.

a b c (Å): 5.7313 7.0711 7.0750
angles (deg): 87.61 78.30 78.30
Sites, in units of the cell vectors:
1 K 0.0000 0.0000 0.0000
2 Mn 0.0757 0.1821 0.5140
3 Mn 0.1672 0.5137 0.8180
4 Mn 0.3340 0.4829 0.1819
5 Mn 0.4251 0.8181 0.4827
6 Mn 0.5749 0.1819 0.5173
7 Mn 0.6660 0.5171 0.8181
8 Mn 0.8328 0.4863 0.1820
9 Mn 0.9243 0.8179 0.4860
10 O 0.0217 0.6240 0.2921
11 O 0.1468 0.3573 0.0484
12 O 0.1678 0.7075 0.6238
13 O 0.1710 0.9521 0.3574
14 O 0.3258 0.0484 0.6414
15 O 0.3319 0.2946 0.3792
16 O 0.3500 0.6413 0.9516
17 O 0.4795 0.3785 0.7062
18 O 0.5205 0.6215 0.2938
19 O 0.6500 0.3587 0.0484
20 O 0.6681 0.7054 0.6208
21 O 0.6742 0.9516 0.3586
22 O 0.8290 0.0479 0.6426
23 O 0.8322 0.2925 0.3762
24 O 0.8532 0.6427 0.9516
25 O 0.9783 0.3760 0.7079